Entry 1:
This record from the Materials Project database describes a geometry-optimized La10Si6O27 structure. The functional is GGA-PBE.

Summary:
Electronic total energy = -714.48 eV per cell
Formation energy = -3.73 eV/atom
Size of the total moment = 0.0 μB per cell
SG = No. 7

Cell: 9.9636 7.3060 19.6164 Å, 90.00 120.43 90.00°
With the nearest neighbours (Å) after each atom.
Atoms (fractional coordinates):
La (0.0000, 0.0017, 0.5000)  3 O 2.27-2.52
La (0.0000, 0.9983, 0.0000)  3 O 2.27-2.52
La (0.0029, 0.4891, 0.3807)  2 O 2.19-2.44
La (0.0029, 0.5109, 0.8807)  2 O 2.19-2.44
La (0.0928, 0.2523, 0.2184)  6 O 2.47-2.54
La (0.0928, 0.7477, 0.7184)  6 O 2.47-2.54
La (0.0991, 0.2485, 0.7188)  7 O 2.46-2.65
La (0.0991, 0.7515, 0.2188)  7 O 2.46-2.65
La (0.4231, 0.2549, 0.0540)  5 O 2.33-2.61
La (0.4231, 0.7451, 0.5540)  5 O 2.33-2.61
La (0.4334, 0.2443, 0.5559)  6 O 2.36-2.57
La (0.4334, 0.7557, 0.0559)  6 O 2.36-2.57
La (0.5312, 0.0431, 0.8870)  3 O 2.24-2.48
La (0.5312, 0.9569, 0.3870)  3 O 2.24-2.48
La (0.5391, 0.4957, 0.2801)  2 O 2.26-2.39
La (0.5391, 0.5043, 0.7801)  2 O 2.26-2.39
La (0.7607, 0.0039, 0.2658)  2 O 2.24-2.47
La (0.7607, 0.9961, 0.7658)  2 O 2.24-2.47
La (0.7661, 0.4973, 0.4954)  3 O 2.26-2.44
La (0.7661, 0.5027, 0.9954)  3 O 2.26-2.44
Si (0.1373, 0.0031, 0.8703)  4 O 1.64-1.66
Si (0.1373, 0.9969, 0.3703)  4 O 1.64-1.66
Si (0.1695, 0.4943, 0.5741)  4 O 1.64-1.66
Si (0.1695, 0.5057, 0.0741)  4 O 1.64-1.66
Si (0.3533, 0.0022, 0.1984)  4 O 1.64-1.66
Si (0.3533, 0.9978, 0.6984)  4 O 1.64-1.66
Si (0.3768, 0.4955, 0.9031)  4 O 1.64-1.67
Si (0.3768, 0.5045, 0.4031)  4 O 1.64-1.67
Si (0.7303, 0.4986, 0.1822)  4 O 1.65-1.66
Si (0.7303, 0.5014, 0.6822)  4 O 1.65-1.66
Si (0.7939, 0.0018, 0.0862)  4 O 1.64-1.66
Si (0.7939, 0.9982, 0.5862)  4 O 1.64-1.66
O (0.0171, 0.1750, 0.3373)  1 Si 1.66
O (0.0171, 0.8250, 0.8373)  1 Si 1.66
O (0.0242, 0.1860, 0.8394)  1 Si 1.65
O (0.0242, 0.8140, 0.3394)  1 Si 1.65
O (0.0980, 0.4995, 0.1334)  1 Si 1.64
O (0.0980, 0.5005, 0.6334)  1 Si 1.64
O (0.1089, 0.3272, 0.0132)  1 Si 1.66
O (0.1089, 0.6728, 0.5132)  1 Si 1.66
O (0.1146, 0.3068, 0.5203)  1 Si 1.64
O (0.1146, 0.6932, 0.0203)  1 Si 1.64
O (0.1609, 0.0188, 0.1487)  1 Si 1.66
O (0.1609, 0.9812, 0.6487)  1 Si 1.66
O (0.2312, 0.0057, 0.3210)  1 Si 1.65
O (0.2312, 0.9943, 0.8210)  1 Si 1.65
O (0.2452, 0.0030, 0.4671)  1 Si 1.64
O (0.2452, 0.9970, 0.9671)  1 Si 1.64
O (0.2566, 0.4993, 0.8067)  1 Si 1.65
O (0.2566, 0.5007, 0.3067)  1 Si 1.65
O (0.2849, 0.4494, 0.4515)  1 Si 1.67
O (0.2849, 0.5506, 0.9515)  1 Si 1.67
O (0.3619, 0.4984, 0.6221)  1 Si 1.65
O (0.3619, 0.5016, 0.1221)  1 Si 1.65
O (0.3862, 0.1902, 0.7481)  1 Si 1.65
O (0.3862, 0.8098, 0.2481)  1 Si 1.65
O (0.4232, 0.1739, 0.2609)  1 Si 1.64
O (0.4232, 0.8261, 0.7609)  1 Si 1.64
O (0.4238, 0.2835, 0.9356)  1 Si 1.65
O (0.4238, 0.7165, 0.4356)  1 Si 1.65
O (0.4311, 0.0012, 0.6418)  1 Si 1.64
O (0.4311, 0.9988, 0.1418)  1 Si 1.64
O (0.5123, 0.3481, 0.4279)  1 Si 1.64
O (0.5123, 0.6519, 0.9279)  1 Si 1.64
O (0.6058, 0.0014, 0.5528)  1 Si 1.64
O (0.6058, 0.9986, 0.0528)  1 Si 1.64
O (0.6175, 0.3266, 0.8880)  3 La 2.24-2.26
O (0.6175, 0.6734, 0.3880)  3 La 2.24-2.26
O (0.6303, 0.4917, 0.5848)  1 Si 1.65
O (0.6303, 0.5083, 0.0848)  1 Si 1.65
O (0.6715, 0.3102, 0.2060)  1 Si 1.65
O (0.6715, 0.6898, 0.7060)  1 Si 1.65
O (0.6788, 0.3238, 0.7167)  1 Si 1.66
O (0.6788, 0.6762, 0.2167)  1 Si 1.66
O (0.7728, 0.0068, 0.8830)  3 La 2.24-2.46
O (0.7728, 0.9932, 0.3830)  3 La 2.24-2.46
O (0.7936, 0.4147, 0.3843)  3 La 2.19-2.41
O (0.7936, 0.5853, 0.8843)  3 La 2.19-2.41
O (0.8495, 0.1867, 0.0586)  1 Si 1.65
O (0.8495, 0.8133, 0.5586)  1 Si 1.65
O (0.8530, 0.1752, 0.5558)  1 Si 1.65
O (0.8530, 0.8248, 0.0558)  1 Si 1.65
O (0.8956, 0.0032, 0.6841)  1 Si 1.66
O (0.8956, 0.9968, 0.1841)  1 Si 1.66
O (0.9198, 0.4989, 0.2184)  1 Si 1.65
O (0.9198, 0.5011, 0.7184)  1 Si 1.65


Entry 2:
This record from the Materials Project database describes a geometry-optimized La2Si2O7 structure. The functional is GGA-PBE.

Summary:
Electronic total energy = -363.85 eV per cell
Formation energy = -3.67 eV/atom
SG = No. 14

Cell: 5.5272 8.8512 14.3452 Å, 90.00 112.50 90.00°
With the nearest neighbours (Å) after each atom.
Atoms (fractional coordinates):
La (0.0178, 0.1885, 0.2665)  5 O 2.42-2.51
La (0.0178, 0.3115, 0.7665)  5 O 2.42-2.51
La (0.3320, 0.1080, 0.5892)  5 O 2.33-2.60
La (0.3320, 0.3920, 0.0892)  5 O 2.33-2.60
La (0.6680, 0.6080, 0.9108)  5 O 2.33-2.60
La (0.6680, 0.8920, 0.4108)  5 O 2.33-2.60
La (0.9822, 0.6885, 0.2335)  5 O 2.42-2.51
La (0.9822, 0.8115, 0.7335)  5 O 2.42-2.51
Si (0.2502, 0.7453, 0.0264)  4 O 1.63-1.67
Si (0.2502, 0.7547, 0.5264)  4 O 1.63-1.67
Si (0.4559, 0.5056, 0.6791)  4 O 1.63-1.65
Si (0.4559, 0.9944, 0.1791)  4 O 1.63-1.65
Si (0.5441, 0.0056, 0.8209)  4 O 1.63-1.65
Si (0.5441, 0.4944, 0.3209)  4 O 1.63-1.65
Si (0.7498, 0.2453, 0.4736)  4 O 1.63-1.67
Si (0.7498, 0.2547, 0.9736)  4 O 1.63-1.67
O (0.0626, 0.7420, 0.9068)  1 Si 1.63
O (0.0626, 0.7580, 0.4068)  1 Si 1.63
O (0.0832, 0.6447, 0.0802)  1 Si 1.67
O (0.0832, 0.8553, 0.5802)  1 Si 1.67
O (0.2606, 0.0876, 0.7598)  1 Si 1.64
O (0.2606, 0.4124, 0.2598)  1 Si 1.64
O (0.2806, 0.5235, 0.7495)  1 Si 1.65
O (0.2806, 0.9765, 0.2495)  1 Si 1.65
O (0.2991, 0.5805, 0.5676)  2 Si 1.64
O (0.2991, 0.9195, 0.0676)  2 Si 1.64
O (0.4684, 0.6702, 0.3300)  1 Si 1.63
O (0.4684, 0.8298, 0.8300)  1 Si 1.63
O (0.4728, 0.1533, 0.4475)  1 Si 1.65
O (0.4728, 0.3467, 0.9475)  1 Si 1.65
O (0.5272, 0.6533, 0.0525)  1 Si 1.65
O (0.5272, 0.8467, 0.5525)  1 Si 1.65
O (0.5316, 0.1702, 0.1700)  1 Si 1.63
O (0.5316, 0.3298, 0.6700)  1 Si 1.63
O (0.7009, 0.0805, 0.9324)  2 Si 1.64
O (0.7009, 0.4195, 0.4324)  2 Si 1.64
O (0.7194, 0.0235, 0.7505)  1 Si 1.65
O (0.7194, 0.4765, 0.2505)  1 Si 1.65
O (0.7394, 0.5876, 0.7402)  1 Si 1.64
O (0.7394, 0.9124, 0.2402)  1 Si 1.64
O (0.9168, 0.1447, 0.4198)  1 Si 1.67
O (0.9168, 0.3553, 0.9198)  1 Si 1.67
O (0.9374, 0.2420, 0.5932)  1 Si 1.63
O (0.9374, 0.2580, 0.0932)  1 Si 1.63


Entry 3:
This record from the Materials Project database describes a geometry-optimized La2SiO5 structure. The functional is GGA-PBE.

Summary:
Electronic total energy = -398.59 eV per cell
Formation energy = -3.73 eV/atom
Energy above the most stable polymorph in this dataset = 0.050 eV/atom
Size of the total moment = 0.0 μB per cell
SG = No. 15

Cell: 8.3006 8.3006 11.7938 Å, 95.87 95.87 91.14°
With the nearest neighbours (Å) after each atom.
Atoms (fractional coordinates):
La (0.1146, 0.8369, 0.5703)  6 O 2.40-2.64
La (0.1397, 0.4796, 0.7449)  6 O 2.41-2.47
La (0.1631, 0.8854, 0.9297)  6 O 2.40-2.64
La (0.2140, 0.5018, 0.0686)  5 O 2.36-2.44
La (0.4796, 0.1397, 0.2449)  6 O 2.41-2.47
La (0.4982, 0.7860, 0.4314)  5 O 2.36-2.44
La (0.5018, 0.2140, 0.5686)  5 O 2.36-2.44
La (0.5204, 0.8603, 0.7551)  6 O 2.41-2.47
La (0.7860, 0.4982, 0.9314)  5 O 2.36-2.44
La (0.8369, 0.1146, 0.0703)  6 O 2.40-2.64
La (0.8603, 0.5204, 0.2551)  6 O 2.41-2.47
La (0.8854, 0.1631, 0.4297)  6 O 2.40-2.64
Si (0.1323, 0.8677, 0.2500)  4 O 1.66-1.67
Si (0.2313, 0.4279, 0.4485)  4 O 1.64-1.67
Si (0.4279, 0.2313, 0.9485)  4 O 1.64-1.67
Si (0.5721, 0.7687, 0.0515)  4 O 1.64-1.67
Si (0.7687, 0.5721, 0.5515)  4 O 1.64-1.67
Si (0.8677, 0.1323, 0.7500)  4 O 1.66-1.67
O (0.0421, 0.9325, 0.3654)  1 Si 1.67
O (0.0502, 0.3828, 0.3816)  1 Si 1.64
O (0.0516, 0.6155, 0.9232)  4 La 2.36-2.47
O (0.0675, 0.9579, 0.1346)  1 Si 1.67
O (0.0988, 0.6698, 0.2181)  1 Si 1.66
O (0.2427, 0.7573, 0.7500)  4 La 2.43
O (0.2446, 0.3512, 0.5748)  1 Si 1.67
O (0.2642, 0.6255, 0.4691)  1 Si 1.65
O (0.3302, 0.9012, 0.2819)  1 Si 1.66
O (0.3353, 0.3752, 0.8821)  1 Si 1.65
O (0.3512, 0.2446, 0.0748)  1 Si 1.67
O (0.3752, 0.3353, 0.3821)  1 Si 1.65
O (0.3745, 0.7358, 0.0309)  1 Si 1.65
O (0.3828, 0.0502, 0.8816)  1 Si 1.64
O (0.3845, 0.9484, 0.5768)  4 La 2.36-2.47
O (0.6155, 0.0516, 0.4232)  4 La 2.36-2.47
O (0.6172, 0.9498, 0.1184)  1 Si 1.64
O (0.6255, 0.2642, 0.9691)  1 Si 1.65
O (0.6248, 0.6647, 0.6179)  1 Si 1.65
O (0.6488, 0.7554, 0.9252)  1 Si 1.67
O (0.6647, 0.6248, 0.1179)  1 Si 1.65
O (0.6698, 0.0988, 0.7181)  1 Si 1.66
O (0.7358, 0.3745, 0.5309)  1 Si 1.65
O (0.7554, 0.6488, 0.4252)  1 Si 1.67
O (0.7573, 0.2427, 0.2500)  4 La 2.43
O (0.9012, 0.3302, 0.7819)  1 Si 1.66
O (0.9325, 0.0421, 0.8654)  1 Si 1.67
O (0.9484, 0.3845, 0.0768)  4 La 2.36-2.47
O (0.9498, 0.6172, 0.6184)  1 Si 1.64
O (0.9579, 0.0675, 0.6346)  1 Si 1.67


Entry 4:
This record from the Materials Project database describes a geometry-optimized La10Si8O3 structure. The functional is GGA-PBE.

Summary:
Electronic total energy = -136.29 eV per cell
Formation energy = -1.46 eV/atom
Size of the total moment = 0.0 μB per cell
SG = No. 191

Cell: 10.9784 10.9784 4.6738 Å, 90.00 90.00 120.00°
With the nearest neighbours (Å) after each atom.
Atoms (fractional coordinates):
La (0.0000, 0.0000, 0.0000)  12 Si 3.35
La (0.0000, 0.5000, 0.5000)  2 O 2.34
La (0.2100, 0.4199, 0.0000)  2 O 2.85
La (0.2100, 0.7900, 0.0000)  2 O 2.85
La (0.4199, 0.2100, 0.0000)  2 O 2.85
La (0.5000, 0.0000, 0.5000)  2 O 2.34
La (0.5000, 0.5000, 0.5000)  2 O 2.34
La (0.5801, 0.7900, 0.0000)  2 O 2.85
La (0.7900, 0.2100, 0.0000)  2 O 2.85
La (0.7900, 0.5801, 0.0000)  2 O 2.85
Si (0.0000, 0.2182, 0.5000)  2 Si 2.40
Si (0.0000, 0.7818, 0.5000)  2 Si 2.40
Si (0.2182, 0.0000, 0.5000)  2 Si 2.40
Si (0.2182, 0.2182, 0.5000)  2 Si 2.40
Si (0.3333, 0.6667, 0.5000)  9 La 3.17-3.31
Si (0.6667, 0.3333, 0.5000)  9 La 3.17-3.31
Si (0.7818, 0.0000, 0.5000)  2 Si 2.40
Si (0.7818, 0.7818, 0.5000)  2 Si 2.40
O (0.0000, 0.5000, 0.0000)  2 La 2.34
O (0.5000, 0.0000, 0.0000)  2 La 2.34
O (0.5000, 0.5000, 0.0000)  2 La 2.34